(A)
Material: K2Li2CoO4
Method: DFT, PBE+U
State: relaxed

```
data_K2Li2CoO4
_space_group_name_H-M_alt 'P 1'
_space_group_IT_number 1
_cell_length_a 5.6011
_cell_length_b 8.9940
_cell_length_c 10.4001
_cell_angle_alpha 86.99
_cell_angle_beta 82.39
_cell_angle_gamma 89.60
loop_
_space_group_symop_operation_xyz
'x,y,z'
loop_
_atom_site_label
_atom_site_type_symbol
_atom_site_fract_x
_atom_site_fract_y
_atom_site_fract_z
K1 K 0.0000 0.0000 0.0000
K2 K 0.0078 0.8562 0.4069
K3 K 0.1184 0.5953 0.1665
K4 K 0.2120 0.2385 0.6912
K5 K 0.4927 0.5514 0.4407
K6 K 0.5183 0.7591 0.9549
K7 K 0.7009 0.0333 0.6824
K8 K 0.7196 0.3292 0.1878
Li1 Li 0.1192 0.5154 0.8730
Li2 Li 0.2516 0.3024 0.0107
Li3 Li 0.4032 0.0788 0.1397
Li4 Li 0.4295 0.7951 0.6065
Li5 Li 0.5336 0.5504 0.7386
Li6 Li 0.6169 0.0681 0.3863
Li7 Li 0.7517 0.3008 0.5087
Li8 Li 0.9503 0.5223 0.6020
Co1 Co 0.0249 0.7491 0.7461
Co2 Co 0.1633 0.2679 0.3744
Co3 Co 0.5390 0.8442 0.2513
Co4 Co 0.6664 0.3253 0.8709
O1 O 0.0125 0.4429 0.4255
O2 O 0.1740 0.9227 0.7062
O3 O 0.2238 0.5980 0.6790
O4 O 0.2272 0.2661 0.1982
O5 O 0.2748 0.8752 0.1712
O6 O 0.4473 0.2522 0.4419
O7 O 0.4476 0.4696 0.9212
O8 O 0.4897 0.8545 0.4288
O9 O 0.5036 0.1565 0.9261
O10 O 0.6551 0.6655 0.2101
O11 O 0.6956 0.0174 0.2057
O12 O 0.7177 0.3591 0.6918
O13 O 0.7404 0.7238 0.6775
O14 O 0.9404 0.1356 0.4509
O15 O 0.9523 0.3305 0.9324
O16 O 0.9969 0.7125 0.9163
```

Summary:
**Calculated density**: 2.75 g/cm3
**Size of the total moment**: 0.44 μB/atom

(B)
Material: K2Li2CoO4
Method: DFT, PBE+U
State: relaxed

```
data_K2Li2CoO4
_space_group_name_H-M_alt 'P 1 21/c 1'
_space_group_IT_number 14
_cell_length_a 5.5089
_cell_length_b 9.1262
_cell_length_c 11.1613
_cell_angle_alpha 90.00
_cell_angle_beta 111.75
_cell_angle_gamma 90.00
loop_
_space_group_symop_operation_xyz
'x,y,z'
'-x,-y,-z'
'-x,y+1/2,-z+1/2'
'x,-y+1/2,z+1/2'
loop_
_atom_site_label
_atom_site_type_symbol
_atom_site_fract_x
_atom_site_fract_y
_atom_site_fract_z
K1 K 0.2038 0.0015 0.3585
K2 K 0.2891 0.7461 0.6437
Li1 Li 0.1064 0.2433 0.6863
Li2 Li 0.1518 0.5174 0.4308
Co1 Co 0.3710 0.2137 0.0471
O1 O 0.2232 0.1880 0.8724
O2 O 0.2244 0.0734 0.1156
O3 O 0.2703 0.1148 0.5922
O4 O 0.2733 0.7079 0.3926
```

Summary:
**Calculated density**: 2.74 g/cm3
**Size of the total moment**: 0.56 μB/atom

Most stable to least stable, the ends of the list are (B) and (A).

(A)
Material: K8MgCo2Mo8O30
Method: DFT, PBE+U
State: relaxed

```
data_K8MgCo2Mo8O30
_space_group_name_H-M_alt 'P 1'
_space_group_IT_number 1
_cell_length_a 8.4834
_cell_length_b 10.5385
_cell_length_c 10.6146
_cell_angle_alpha 60.66
_cell_angle_beta 88.83
_cell_angle_gamma 88.42
loop_
_space_group_symop_operation_xyz
'x,y,z'
loop_
_atom_site_label
_atom_site_type_symbol
_atom_site_fract_x
_atom_site_fract_y
_atom_site_fract_z
K1 K 0.0000 0.0000 0.0000
K2 K 0.0024 0.7915 0.4826
K3 K 0.0352 0.4598 0.2914
K4 K 0.1601 0.0926 0.5986
K5 K 0.2843 0.1886 0.1724
K6 K 0.3014 0.4098 0.6698
K7 K 0.3052 0.6922 0.8988
K8 K 0.6551 0.0951 0.6006
Mg1 Mg 0.6918 0.6317 0.2761
Co1 Co 0.6243 0.9113 0.2382
Co2 Co 0.6249 0.4419 0.9164
Mo1 Mo 0.0086 0.4415 0.9049
Mo2 Mo 0.2858 0.7463 0.2480
Mo3 Mo 0.5038 0.4125 0.2580
Mo4 Mo 0.5123 0.7756 0.5659
Mo5 Mo 0.5141 0.0922 0.9230
Mo6 Mo 0.7884 0.1593 0.2467
Mo7 Mo 0.7905 0.7591 0.9081
Mo8 Mo 0.7921 0.4123 0.6139
O1 O 0.0942 0.2783 0.9201
O2 O 0.1008 0.5800 0.7477
O3 O 0.1023 0.4523 0.0473
O4 O 0.1811 0.7482 0.1043
O5 O 0.1939 0.6068 0.4051
O6 O 0.2036 0.9056 0.2489
O7 O 0.3367 0.3188 0.3687
O8 O 0.3576 0.8842 0.5820
O9 O 0.3768 0.1066 0.7911
O10 O 0.4670 0.6152 0.2390
O11 O 0.4675 0.9254 0.0968
O12 O 0.4870 0.7650 0.3963
O13 O 0.4959 0.4600 0.0613
O14 O 0.4972 0.2563 0.9386
O15 O 0.5067 0.5963 0.7237
O16 O 0.5927 0.1880 0.3037
O17 O 0.5997 0.8262 0.8433
O18 O 0.6042 0.3465 0.6130
O19 O 0.6958 0.8590 0.5501
O20 O 0.7103 0.0760 0.8720
O21 O 0.7102 0.4268 0.3100
O22 O 0.8090 0.4262 0.7805
O23 O 0.8094 0.5923 0.4543
O24 O 0.8121 0.7322 0.0904
O25 O 0.8147 0.5864 0.9035
O26 O 0.8167 0.3072 0.0650
O27 O 0.8179 0.9929 0.2331
O28 O 0.9359 0.8832 0.7950
O29 O 0.9394 0.1522 0.3631
O30 O 0.9428 0.2967 0.6047
```

Summary:
**Calculated density**: 3.42 g/cm3
**Size of the total moment**: 0.05 μB/atom

(B)
Material: K8MgCo2Mo8O30
Method: DFT, PBE+U
State: relaxed

```
data_K8MgCo2Mo8O30
_space_group_name_H-M_alt 'P 1'
_space_group_IT_number 1
_cell_length_a 8.7634
_cell_length_b 10.6763
_cell_length_c 10.6780
_cell_angle_alpha 119.99
_cell_angle_beta 90.02
_cell_angle_gamma 90.00
loop_
_space_group_symop_operation_xyz
'x,y,z'
loop_
_atom_site_label
_atom_site_type_symbol
_atom_site_fract_x
_atom_site_fract_y
_atom_site_fract_z
K1 K 0.0000 0.0000 0.0000
K2 K 0.0001 0.2385 0.6027
K3 K 0.0000 0.6024 0.3644
K4 K 0.2131 0.2796 0.3223
K5 K 0.3093 0.3578 0.9839
K6 K 0.3095 0.8637 0.2448
K7 K 0.3097 0.6193 0.7391
K8 K 0.6692 0.2798 0.3223
Mg1 Mg 0.5062 0.9463 0.6558
Co1 Co 0.6361 0.6130 0.9891
Co2 Co 0.8634 0.9467 0.6559
Mo1 Mo 0.0077 0.6135 0.9892
Mo2 Mo 0.1600 0.9470 0.6556
Mo3 Mo 0.5177 0.2887 0.6535
Mo4 Mo 0.5175 0.6020 0.3135
Mo5 Mo 0.5177 0.9488 0.0004
Mo6 Mo 0.7883 0.6126 0.6726
Mo7 Mo 0.7893 0.2976 0.9901
Mo8 Mo 0.7886 0.9295 0.3049
O1 O 0.0970 0.7661 0.9958
O2 O 0.0981 0.4681 0.8370
O3 O 0.0981 0.6070 0.1348
O4 O 0.1688 0.0938 0.8385
O5 O 0.1686 0.7641 0.6197
O6 O 0.1687 0.9831 0.5088
O7 O 0.3716 0.0602 0.1230
O8 O 0.3715 0.2998 0.5420
O9 O 0.3718 0.4788 0.3018
O10 O 0.4802 0.7818 0.4651
O11 O 0.4801 0.9201 0.8204
O12 O 0.4812 0.1373 0.6821
O13 O 0.5095 0.4509 0.8306
O14 O 0.5091 0.6174 0.1516
O15 O 0.5098 0.7717 0.9855
O16 O 0.6020 0.5519 0.6117
O17 O 0.6023 0.9903 0.3050
O18 O 0.6027 0.2978 0.0502
O19 O 0.7008 0.0266 0.0574
O20 O 0.7009 0.2688 0.5761
O21 O 0.7009 0.5450 0.3337
O22 O 0.8091 0.7924 0.6928
O23 O 0.8091 0.9097 0.4649
O24 O 0.8102 0.1378 0.8105
O25 O 0.8162 0.6209 0.8490
O26 O 0.8162 0.7529 0.1374
O27 O 0.8172 0.4651 0.9811
O28 O 0.9231 0.0572 0.3104
O29 O 0.9229 0.4906 0.5449
O30 O 0.9236 0.2923 0.1126
```

Summary:
**Calculated density**: 3.27 g/cm3
**Size of the total moment**: 0.12 μB/atom

(C)
Material: K8MgCo2Mo8O30
Method: DFT, PBE+U
State: relaxed

```
data_K8MgCo2Mo8O30
_space_group_name_H-M_alt 'P 1'
_space_group_IT_number 1
_cell_length_a 8.5014
_cell_length_b 10.4254
_cell_length_c 10.4667
_cell_angle_alpha 118.29
_cell_angle_beta 90.21
_cell_angle_gamma 92.00
loop_
_space_group_symop_operation_xyz
'x,y,z'
loop_
_atom_site_label
_atom_site_type_symbol
_atom_site_fract_x
_atom_site_fract_y
_atom_site_fract_z
K1 K 0.0000 0.0000 0.0000
K2 K 0.0000 0.3036 0.7825
K3 K 0.3511 0.6827 0.0813
K4 K 0.7068 0.0989 0.3983
K5 K 0.7135 0.3869 0.1981
K6 K 0.7222 0.5947 0.6758
K7 K 0.8491 0.6886 0.0777
K8 K 0.9600 0.8309 0.5371
Mg1 Mg 0.1160 0.5544 0.3070
Co1 Co 0.3253 0.0132 0.7461
Co2 Co 0.3739 0.3493 0.4104
Mo1 Mo 0.0119 0.3528 0.4142
Mo2 Mo 0.2120 0.0173 0.4099
Mo3 Mo 0.2222 0.6669 0.7392
Mo4 Mo 0.2596 0.3371 0.0664
Mo5 Mo 0.4821 0.0158 0.0763
Mo6 Mo 0.4882 0.7124 0.4333
Mo7 Mo 0.4892 0.3463 0.7523
Mo8 Mo 0.6968 0.0447 0.7742
O1 O 0.0587 0.8874 0.3019
O2 O 0.0711 0.6660 0.8568
O3 O 0.1039 0.4783 0.0957
O4 O 0.1876 0.1933 0.4123
O5 O 0.1940 0.0423 0.5934
O6 O 0.1973 0.1577 0.9145
O7 O 0.1969 0.8281 0.7165
O8 O 0.2118 0.4997 0.5601
O9 O 0.2179 0.3673 0.2671
O10 O 0.2882 0.7027 0.3678
O11 O 0.2927 0.9408 0.0733
O12 O 0.3039 0.4114 0.8245
O13 O 0.4022 0.9575 0.3487
O14 O 0.4108 0.6801 0.8155
O15 O 0.4479 0.4236 0.0837
O16 O 0.4982 0.3272 0.5704
O17 O 0.5001 0.1960 0.2347
O18 O 0.5032 0.0292 0.9055
O19 O 0.5042 0.1664 0.7485
O20 O 0.5102 0.8746 0.6112
O21 O 0.5153 0.5499 0.4490
O22 O 0.6305 0.9074 0.0915
O23 O 0.6346 0.7163 0.3151
O24 O 0.6462 0.4696 0.8561
O25 O 0.7873 0.8899 0.7687
O26 O 0.7879 0.0573 0.6269
O27 O 0.7911 0.1916 0.9260
O28 O 0.9105 0.3618 0.5689
O29 O 0.9119 0.2138 0.2535
O30 O 0.9397 0.5294 0.4116
```

Summary:
**Calculated density**: 3.46 g/cm3
**Size of the total moment**: 0.08 μB/atom

Most stable to least stable, the ends of the list are (C) and (A).

(A)
Material: KMg14CoO16
Method: DFT, PBE+U
State: relaxed

```
data_KMg14CoO16
_space_group_name_H-M_alt 'P 4/m m m'
_space_group_IT_number 123
_space_group_name_Hall '-P 4 2'
_cell_length_a 8.6569
_cell_length_b 8.6569
_cell_length_c 4.3125
_cell_angle_alpha 90.00
_cell_angle_beta 90.00
_cell_angle_gamma 90.00
loop_
_atom_site_label
_atom_site_type_symbol
_atom_site_fract_x
_atom_site_fract_y
_atom_site_fract_z
K1 K 0.0000 0.0000 0.0000
Mg1 Mg 0.0000 0.2578 0.5000
Mg2 Mg 0.0000 0.5000 0.0000
Mg3 Mg 0.2502 0.2502 0.0000
Mg4 Mg 0.2510 0.5000 0.5000
Co1 Co 0.5000 0.5000 0.0000
O1 O 0.0000 0.0000 0.5000
O2 O 0.0000 0.2751 0.0000
O3 O 0.0000 0.5000 0.5000
O4 O 0.2506 0.2506 0.5000
O5 O 0.2600 0.5000 0.0000
O6 O 0.5000 0.5000 0.5000
```

Summary:
**Calculated density**: 3.57 g/cm3
**Size of the total moment**: 0.07 μB/atom

(B)
Material: KMg14CoO16
Method: DFT, PBE+U
State: relaxed

```
data_KMg14CoO16
_space_group_name_H-M_alt 'P m m m'
_space_group_IT_number 47
_cell_length_a 4.3211
_cell_length_b 8.5863
_cell_length_c 8.6219
_cell_angle_alpha 90.00
_cell_angle_beta 90.00
_cell_angle_gamma 90.00
loop_
_space_group_symop_operation_xyz
'x,y,z'
'-x,-y,-z'
'-x,-y,z'
'x,y,-z'
'x,-y,-z'
'-x,y,z'
'-x,y,-z'
'x,-y,z'
loop_
_atom_site_label
_atom_site_type_symbol
_atom_site_fract_x
_atom_site_fract_y
_atom_site_fract_z
K1 K 0.0000 0.0000 0.0000
Mg1 Mg 0.0000 0.0000 0.5000
Mg2 Mg 0.0000 0.2497 0.2513
Mg3 Mg 0.0000 0.5000 0.5000
Mg4 Mg 0.5000 0.0000 0.2563
Mg5 Mg 0.5000 0.2499 0.5000
Mg6 Mg 0.5000 0.2546 0.0000
Mg7 Mg 0.5000 0.5000 0.2473
Co1 Co 0.0000 0.5000 0.0000
O1 O 0.0000 0.0000 0.2740
O2 O 0.0000 0.2592 0.5000
O3 O 0.0000 0.2787 0.0000
O4 O 0.0000 0.5000 0.2397
O5 O 0.5000 0.0000 0.0000
O6 O 0.5000 0.0000 0.5000
O7 O 0.5000 0.2507 0.2487
O8 O 0.5000 0.5000 0.0000
O9 O 0.5000 0.5000 0.5000
```

Summary:
**Calculated density**: 3.60 g/cm3
**Size of the total moment**: 0.02 μB/atom

Most stable to least stable, the ends of the list are (B) and (A).